No. 1
Na6HfZn7S12O48 PBE relaxed; energy of formation = -2.043 eV per atom; magnetic moment = 0.0 μB/f.u.; energy = -5.8387 eV per atom; SG = P1, No. 1
1.0
-11.3936 1.8359 -13.2530
8.5360 -1.1726 -1.6849
-3.1533 -22.5171 -0.3764
Na Hf Zn S O
18 3 21 36 144
Cartesian
-0.5530 -17.0420 -5.5962
-6.4110 -12.3497 -9.3763
-8.4292 -19.6157 -14.5300
-7.9000 -19.7388 -9.6787
-2.9550 -9.1132 -2.4254
-8.6469 -8.1981 -9.0386
-12.8872 -9.3108 -13.3817
1.2720 -11.5365 -8.3117
-3.0459 -22.4401 -0.4313
-0.3192 -22.6442 -8.5630
-3.6851 -18.5841 -5.3248
-9.3588 -17.5318 -11.8719
-1.9796 -7.2763 -5.1950
-7.6747 -6.3496 -11.8286
3.2585 -4.2289 -3.4058
-2.4283 -3.3163 -10.0132
1.7508 -15.4358 -3.5766
-3.9191 -14.6412 -10.1757
-2.0347 -14.5904 -0.2524
-0.4674 -3.3365 -0.0640
2.3774 -3.5838 -8.3558
-3.9217 -7.2147 -15.0165
1.7812 -8.1416 -8.3720
-2.6160 -19.1373 -0.3480
0.1642 -19.3518 -8.5741
0.7606 -14.9231 -8.4983
-3.1615 -15.0874 -5.2972
-8.8231 -14.2658 -11.8190
-1.5295 -3.8903 -5.0508
-7.2296 -2.9907 -11.6753
-4.0264 -21.9123 -5.3579
-9.8519 -21.0427 -11.9565
-2.4445 -10.7059 -5.2439
-8.1950 -9.7448 -11.8720
3.7148 -0.8132 -3.3854
-1.9141 0.0899 -9.9370
2.1032 -12.0798 -3.5562
-3.4656 -11.1464 -10.1312
2.7618 -7.6269 -3.4499
-2.9302 -6.6904 -10.0686
1.2532 -18.9373 -3.6669
-4.4666 -17.9403 -10.2241
-2.4834 -5.4049 -2.0671
-8.1741 -4.4854 -8.6901
1.1971 -5.8373 -5.9433
-4.4960 -4.9191 -12.5742
-9.6545 -4.1726 -13.8418
-3.9602 -5.0890 -7.2159
-1.5364 -16.9923 -2.7414
-7.2202 -16.0444 -9.3720
-7.7589 -15.9240 -14.7147
-2.0467 -16.7891 -8.1135
-6.3597 -16.2480 -4.9550
-12.0801 -15.3578 -11.5820
-4.4709 -12.6311 -7.1558
-10.1166 -11.7481 -13.7786
-3.6548 -12.8226 -2.7760
-9.3419 -11.9018 -9.3849
-0.2706 -13.2879 -5.6898
-6.0012 -12.3346 -12.3028
-0.4246 -1.7307 -7.4435
-6.1152 -0.7930 -14.0790
-3.6860 -1.3162 -4.4819
-9.4074 -0.4115 -11.1058
0.4699 -1.9285 -3.1076
-5.2163 -0.9995 -9.7237
-0.7885 -20.8247 -5.6343
-6.4465 -19.9420 -12.2556
0.0544 -21.0465 -1.2417
-5.6173 -20.1286 -7.8514
3.4208 -21.4701 -4.1875
-2.2943 -20.5375 -10.7998
3.3066 -9.9352 -5.9360
-2.4021 -9.0145 -12.5577
-0.0321 -9.5083 -2.9931
-5.7357 -8.6104 -9.6232
4.1337 -10.1244 -1.5374
-1.5439 -9.1825 -8.1517
-1.9820 -6.7117 -1.5932
-7.6766 -5.7954 -8.2198
1.1136 -7.0095 -6.8222
-4.5800 -6.0929 -13.4516
-4.9040 -6.1626 -6.8895
-10.5972 -5.2445 -13.5087
-2.1532 -18.1168 -2.0351
-7.8357 -17.2140 -8.6780
-1.3510 -18.1012 -8.0421
-7.1024 -17.2497 -14.7090
-6.9098 -17.3864 -5.7196
-12.6447 -16.4656 -12.3612
1.6034 -16.1192 -7.0808
-4.0791 -15.2107 -13.8233
-1.4935 -15.7795 -1.8272
-7.1451 -14.8224 -8.5186
4.6756 -16.6872 -1.7797
-1.1188 -15.6848 -8.4391
1.8192 -4.6762 -6.7241
-3.8765 -3.7579 -13.3518
1.0011 -4.6685 -0.5547
-4.6984 -3.7497 -7.1844
6.7017 -5.4666 -2.9245
1.0102 -4.5473 -9.5526
-3.9708 -13.9462 -6.7185
-9.6322 -13.0465 -13.2956
-3.6939 -14.0145 -3.6320
-9.4081 -13.0819 -10.2689
-1.1830 -14.4318 -5.3654
-6.9245 -13.4295 -11.9647
-1.0116 -2.8916 -6.7641
-6.7021 -1.9277 -13.3577
-3.0539 -2.6414 -4.4902
-8.7502 -1.7209 -11.1179
-0.0903 -3.0716 -3.8388
-5.8071 -2.1063 -10.4829
-0.0773 -0.6235 -3.4962
-5.7307 0.3414 -10.1025
-0.2523 -0.5442 -6.5959
-5.9338 0.4270 -13.2496
-2.8020 -0.2139 -4.8794
-8.5405 0.7074 -11.5190
-2.9911 -11.6483 -3.3787
-8.6707 -10.7358 -10.0605
-0.9661 -11.9825 -5.6927
-6.6416 -11.0180 -12.3914
-3.9270 -11.4999 -6.3847
-9.6637 -10.5935 -12.9891
-0.2471 -22.1115 -5.1442
-5.9573 -21.2536 -11.7935
-0.0229 -22.2520 -2.0899
-5.7626 -21.3084 -8.7544
2.4773 -22.5474 -3.7781
-3.2002 -21.6585 -10.4854
2.6910 -11.0899 -5.2438
-3.0195 -10.1735 -11.8707
0.6206 -10.8297 -2.9600
-5.1171 -9.9652 -9.6133
3.6081 -11.2516 -2.3536
-2.0509 -10.3214 -8.9698
3.6376 -8.8085 -2.0044
-2.0564 -7.8825 -8.6325
3.4409 -8.7494 -5.0418
-2.2694 -7.8331 -11.6625
0.8817 -8.3981 -3.3201
-4.7884 -7.5310 -9.9532
0.7275 -19.9058 -1.9267
-5.0058 -18.9762 -8.5484
2.7736 -20.1376 -4.1907
-2.9553 -19.2220 -10.8306
-0.2505 -19.6412 -4.8850
-5.9246 -18.8116 -11.4574
5.6304 -10.2084 -1.7250
-0.0516 -9.2648 -8.3441
2.4872 -9.6600 -7.1429
-3.2146 -8.7434 -13.7683
-0.6764 -9.3240 -1.6396
-6.3664 -8.4210 -8.2730
-1.3193 -20.7206 -0.7914
-7.0418 -19.8071 -7.4718
4.4819 -21.5113 -3.1088
-1.1713 -20.5936 -9.8026
-0.4141 -20.7381 -7.0776
-6.1533 -19.8256 -13.7194
-5.9688 -12.5464 -7.0521
-11.6523 -11.7150 -13.6309
-2.7952 -13.1593 -1.5386
-8.4572 -12.1798 -8.2022
0.3182 -13.4526 -7.0506
-5.3818 -12.5817 -13.6729
1.0045 -2.1026 -7.8856
-4.6899 -1.1708 -14.5068
-4.8124 -1.3165 -5.5382
-10.5221 -0.4088 -12.1628
0.0880 -2.0799 -1.6179
-5.6090 -1.1537 -8.2493
-4.8847 -16.2994 -5.0674
-10.6131 -15.3847 -11.7541
-2.3382 -16.6825 -3.9452
-8.0749 -15.7916 -10.5782
-2.6030 -16.6116 -6.7207
-8.3077 -15.6766 -13.3699
-0.1731 -5.4651 -5.5436
-5.8682 -4.5471 -12.1740
-2.8993 -5.0748 -6.1902
-8.5922 -4.1561 -12.8159
-2.0881 -5.2422 -3.4783
-7.7808 -4.3261 -10.1053
-2.2671 -20.7563 -5.4799
-7.9562 -19.8505 -12.1081
-4.8075 -20.4149 -6.6474
-10.4489 -19.4755 -13.2991
-4.5186 -20.5051 -3.8352
-10.1814 -19.5505 -10.4732
-3.8112 -9.0864 -4.6376
-9.5165 -8.1609 -11.2581
-1.1545 -9.4574 -3.9944
-6.8533 -8.5400 -10.6283
-1.8943 -9.3067 -6.7180
-7.5989 -8.4037 -13.3491
1.9445 -2.0053 -3.1794
-3.7472 -1.0855 -9.8095
4.4981 -2.3760 -2.0507
-1.2010 -1.4741 -8.6765
4.2036 -2.2924 -4.8520
-1.5026 -1.3793 -11.4763
3.5217 -13.7039 -3.9731
-2.1861 -12.7557 -10.6377
0.8061 -13.3293 -4.6561
-4.9173 -12.3741 -11.2901
1.5784 -13.4680 -1.9636
-4.1462 -12.5266 -8.6263
4.5999 -6.4148 -3.5490
-1.0933 -5.4955 -10.1795
2.0848 -6.0373 -4.7799
-3.6123 -5.1203 -11.4074
2.2877 -6.1117 -1.9549
-3.4133 -5.1914 -8.5853
-0.1287 -17.2380 -3.1448
-5.8257 -16.3500 -9.7970
2.6101 -17.6382 -2.5184
-3.1322 -16.7592 -9.1200
1.7492 -17.5127 -5.1900
-3.9411 -16.5500 -11.8491

---

No. 2
Bi3PO7 PBE relaxed; energy of formation = -2.081 eV per atom; magnetic moment = 0.0 μB/f.u.; energy = -6.3453 eV per atom; SG = Cm, No. 8
1.0
6.8154 6.5256 0.0000
-6.8154 6.5256 0.0000
0.0000 3.9314 11.6440
Bi P O
18 6 42
Cartesian
-2.3008 4.3197 0.6351
2.3008 4.3197 0.6351
-2.1226 5.9999 4.4035
2.1226 5.9999 4.4035
-4.4957 7.4211 1.8630
4.4957 7.4211 1.8630
2.1023 7.4477 8.3624
-2.1023 7.4477 8.3624
-4.7285 8.2325 5.8015
4.7285 8.2325 5.8015
-4.6976 9.6922 9.7471
4.6976 9.6922 9.7471
2.3473 9.9611 3.5255
-2.3473 9.9611 3.5255
-2.5417 11.1086 7.0959
2.5417 11.1086 7.0959
-2.3507 12.2618 10.6577
2.3507 12.2618 10.6577
0.0000 3.3505 3.3451
0.0000 5.8001 10.7661
0.0000 8.5092 5.6887
0.0000 9.9624 10.1550
0.0000 12.3050 3.9989
0.0000 13.7542 8.4621
0.0000 2.5684 4.6792
1.2959 3.0235 2.5502
-1.2959 3.0235 2.5502
0.0000 4.2521 10.5499
0.0000 4.8882 3.6026
3.3491 5.3140 2.6205
-3.3491 5.3140 2.6205
-1.3049 6.1383 11.5366
1.3049 6.1383 11.5366
0.0000 6.5436 9.4079
-3.1403 6.5417 6.4440
3.1403 6.5417 6.4440
0.0000 7.5944 6.9544
0.0000 7.6676 4.3777
3.4401 7.7964 10.3092
-3.4401 7.7964 10.3092
-3.3863 7.9049 3.8487
3.3863 7.9049 3.8487
0.0000 8.9007 11.3033
3.0768 9.1323 1.2277
-3.0768 9.1323 1.2277
-3.6608 9.1409 7.7109
3.6608 9.1409 7.7109
1.3093 9.3490 5.7219
-1.3093 9.3490 5.7219
1.2960 9.8170 9.2984
-1.2960 9.8170 9.2984
3.4657 10.3821 11.5251
-3.4657 10.3821 11.5251
3.8304 10.4968 5.1832
-3.8304 10.4968 5.1832
0.0000 10.8496 3.4175
0.0000 11.3790 10.8353
3.8333 11.7263 8.9575
-3.8333 11.7263 8.9575
1.2982 12.4957 4.8458
-1.2982 12.4957 4.8458
1.3060 12.9145 8.3759
-1.3060 12.9145 8.3759
0.0000 13.2912 2.7878
0.0000 14.5282 9.8118
0.0000 14.7617 7.2583

---

No. 3
Li3B2SbO6 PBE relaxed; distance to the lowest polymorph of the same formula = 0.00 eV/f.u.; energy of formation = -2.442 eV per atom; magnetic moment = 0.0 μB/f.u.; energy = -6.5073 eV per atom; SG = P-1, No. 2
1.0
4.9014 0.0000 0.0000
0.5567 7.5190 0.0000
0.6218 3.5103 7.5712
Li B Sb O
6 4 2 12
Cartesian
1.0477 0.8388 0.4927
2.4379 9.7365 5.5700
1.8693 3.0818 2.7850
4.2106 7.9474 4.7862
3.6419 1.2928 2.0013
5.0322 10.1904 7.0786
1.6169 8.0591 3.2848
1.9905 5.5053 0.7490
4.0893 5.5239 6.8223
4.4629 2.9701 4.2864
1.6973 5.8537 5.0615
4.3825 5.1756 2.5097
0.8378 3.4643 4.4359
1.3065 4.7317 1.7247
2.0208 9.8560 7.4658
2.2169 7.8277 4.5927
1.7414 1.1923 2.3147
2.6697 5.6687 6.8229
3.4102 5.3605 0.7483
4.3385 9.8370 5.2565
3.8629 3.2016 2.9786
4.0591 1.1733 0.1054
4.7734 6.2976 5.8465
5.2421 7.5650 3.1354

---

No. 4
Sm2Ge3Ir3 PBE relaxed; energy of formation = 0.675 eV per atom; magnetic moment = 0.0 μB/f.u.; energy = -5.5523 eV per atom; SG = P4/mmm, No. 123
1.0
-1.0641 2.6237 0.2352
-0.1678 -0.3207 2.8179
19.5597 7.7494 2.0466
Sm Ge Ir
2 3 3
Cartesian
14.2926 7.0582 3.0865
4.0351 2.9942 2.0132
6.9501 4.1491 2.3182
11.3777 5.9033 2.7815
-0.6160 1.1515 1.5266
1.5996 2.0293 1.7584
16.7282 8.0232 3.3413
9.1639 5.0262 2.5499

---

No. 5
PrB2Rh3 PBE relaxed; energy of formation = -0.636 eV per atom; energy = -7.3417 eV per atom; SG = P6/mmm, No. 191
1.0
-2.5552 1.2441 -1.2835
-0.6498 3.2467 4.4404
3.0164 1.7593 -4.2996
Pr B Rh
1 2 3
Cartesian
0.0000 0.0000 0.0000
1.7943 2.2551 -1.3863
0.5723 2.7509 1.5271
0.2306 1.5017 -2.7916
-0.0943 3.1250 -0.5714
-1.6025 2.2454 1.5785

---

No. 6
ThBr4 PBE relaxed; energy of formation = -2.163 eV per atom; energy = -4.5281 eV per atom; SG = I4_1/amd, No. 141
1.0
-4.5144 4.5144 4.1276
4.5144 -4.5144 4.1276
4.5144 4.5144 -4.1276
Th Br
2 8
Cartesian
4.5144 0.0000 2.0638
0.0000 0.0000 0.0000
-1.6815 4.5144 3.5514
0.0000 1.6815 5.6152
0.0000 2.8329 0.5762
1.6815 0.0000 2.6400
2.8329 4.5144 -1.4876
0.0000 6.1959 0.5762
1.6815 4.5144 3.5514
4.5144 2.8329 1.4876